Record 1
# YCr3Se2ClO8

YCr3Se2ClO8 after structural relaxation (GGA+U, the Materials Project database).

Computed properties:
The value obtained for the calculated volume is 232.0 Å³/f.u. The formation energy from the elements is -30.158 eV per formula unit. The total magnetization is 24.00 μB/cell. The space-group type is Pmmn, No. 59.

Cell lengths 6.5761, 7.1894, 9.8123 Å; angles 90.00, 90.00, 90.00 degrees
With the nearest neighbours (Å) after each atom.
Fractional coordinates of all 30 atoms:
Y  0.0000  0.7386  0.0000  6 O 2.26-2.49
Y  0.5000  0.2614  0.5000  6 O 2.26-2.49
Cr  0.2500  0.0000  0.7500  4 O 2.00-2.10
Cr  0.2500  0.0000  0.2500  4 O 2.00-2.10
Cr  0.7500  0.0000  0.7500  4 O 2.00-2.10
Cr  0.5000  0.7943  0.5000  4 O 2.01-2.07
Cr  0.0000  0.2057  0.0000  4 O 2.01-2.07
Cr  0.7500  0.0000  0.2500  4 O 2.00-2.10
Se  0.5000  0.5907  0.8114  3 O 1.74
Se  0.0000  0.4093  0.6886  3 O 1.74
Se  0.5000  0.5907  0.1886  3 O 1.74
Se  0.0000  0.4093  0.3114  3 O 1.74
Cl  0.0000  0.8516  0.5000  6 Cr 3.14-3.31
Cl  0.5000  0.1484  0.0000  6 Cr 3.14-3.31
O  0.0000  0.9942  0.8660  3 Cr 2.00-2.01
O  0.0000  0.4283  0.8654  1 Se 1.74
O  0.5000  0.5717  0.3654  1 Se 1.74
O  0.2931  0.7375  0.8390  1 Se 1.74
O  0.2069  0.2625  0.3390  1 Se 1.74
O  0.7931  0.2625  0.3390  1 Se 1.74
O  0.5000  0.0058  0.6340  3 Cr 2.00-2.01
O  0.7069  0.7375  0.8390  1 Se 1.74
O  0.7069  0.7375  0.1610  1 Se 1.74
O  0.7931  0.2625  0.6610  1 Se 1.74
O  0.0000  0.9942  0.1340  3 Cr 2.00-2.01
O  0.5000  0.0058  0.3660  3 Cr 2.00-2.01
O  0.2069  0.2625  0.6610  1 Se 1.74
O  0.2931  0.7375  0.1610  1 Se 1.74
O  0.5000  0.5717  0.6346  1 Se 1.74
O  0.0000  0.4283  0.1346  1 Se 1.74

Record 2
# Sr2CrClO4

Sr2CrClO4 after structural relaxation (GGA+U, the Materials Project database).

Computed properties:
The value obtained for the calculated volume is 144.4 Å³/f.u. The formation energy from the elements is -21.318 eV per formula unit. The total magnetization is 4.00 μB/cell. The space-group type is Pbcm, No. 57.

Cell lengths 6.6088, 7.5586, 11.5665 Å; angles 90.00, 90.00, 90.00 degrees
With the nearest neighbours (Å) after each atom.
Fractional coordinates of all 32 atoms:
Sr  0.1366  0.4656  0.2500  6 O 2.59-2.71
Sr  0.6227  0.2500  0.0000  6 O 2.57-2.66
Sr  0.3772  0.7500  0.0000  6 O 2.57-2.66
Sr  0.6228  0.2500  0.5000  6 O 2.57-2.66
Sr  0.1366  0.0345  0.7500  6 O 2.59-2.71
Sr  0.8634  0.9656  0.2500  6 O 2.59-2.71
Sr  0.8634  0.5345  0.7500  6 O 2.59-2.71
Sr  0.3772  0.7500  0.5000  6 O 2.57-2.66
Cr  0.8748  0.7500  0.5000  4 O 1.72-1.73
Cr  0.1252  0.2500  0.0000  4 O 1.72-1.73
Cr  0.8748  0.7500  0.0000  4 O 1.72-1.73
Cr  0.1253  0.2499  0.5000  4 O 1.72-1.73
Cl  0.5149  0.8224  0.7500  4 Sr 2.97-3.17
Cl  0.4850  0.3224  0.7500  4 Sr 2.97-3.17
Cl  0.5149  0.6776  0.2500  4 Sr 2.97-3.17
Cl  0.4850  0.1776  0.2500  4 Sr 2.97-3.17
O  0.0333  0.7313  0.3813  1 Cr 1.73
O  0.9668  0.2687  0.6186  1 Cr 1.73
O  0.2840  0.0761  0.9671  1 Cr 1.72
O  0.9666  0.2313  0.1187  1 Cr 1.73
O  0.7160  0.5761  0.9671  1 Cr 1.72
O  0.7160  0.9239  0.0328  1 Cr 1.72
O  0.0333  0.7687  0.6186  1 Cr 1.73
O  0.9667  0.2313  0.3813  1 Cr 1.73
O  0.7159  0.9239  0.4671  1 Cr 1.72
O  0.9666  0.2687  0.8814  1 Cr 1.73
O  0.2840  0.4239  0.0329  1 Cr 1.72
O  0.7159  0.5762  0.5329  1 Cr 1.72
O  0.2841  0.4239  0.4672  1 Cr 1.72
O  0.0333  0.7313  0.1187  1 Cr 1.73
O  0.2841  0.0761  0.5329  1 Cr 1.72
O  0.0333  0.7687  0.8814  1 Cr 1.73

Record 3
# Cs2FeH2Cl5O

Cs2FeH2Cl5O after structural relaxation (GGA+U, the Materials Project database).

Computed properties:
The value obtained for the calculated volume is 281.8 Å³/f.u. The formation energy from the elements is -15.026 eV per formula unit. The total magnetization is 10.00 μB/cell. The space-group type is Cmcm, No. 63.

Cell lengths 7.5584, 8.3213, 9.7263 Å; angles 90.00, 112.86, 90.00 degrees
With the nearest neighbours (Å) after each atom.
Fractional coordinates of all 22 atoms:
Cs  0.5291  0.7500  0.0582  8 Cl 3.54-3.69, 2 O 3.81, 4 H 3.86
Cs  0.4709  0.2500  0.9418  8 Cl 3.54-3.69, 2 O 3.81, 4 H 3.86
Cs  0.2472  0.7500  0.4944  12 Cl 3.72-4.16, 2 H 3.91
Cs  0.7528  0.2500  0.5056  12 Cl 3.72-4.16, 2 H 3.91
Fe  0.8799  0.7500  0.7599  1 O 2.19, 5 Cl 2.33-2.41
Fe  0.1201  0.2500  0.2401  1 O 2.19, 5 Cl 2.33-2.41
H  0.0335  0.6541  0.0669  1 O 0.98
H  0.9665  0.3459  0.9331  1 O 0.98
H  0.0335  0.8459  0.0669  1 O 0.98
H  0.9665  0.1541  0.9331  1 O 0.98
Cl  0.7501  0.7500  0.5003  1 Fe 2.33
Cl  0.2499  0.2500  0.4997  1 Fe 2.33
Cl  0.1118  0.9563  0.7789  1 Fe 2.41
Cl  0.3329  0.0437  0.2211  1 Fe 2.41
Cl  0.1118  0.5437  0.7789  1 Fe 2.41
Cl  0.3329  0.4563  0.2211  1 Fe 2.41
Cl  0.8882  0.0437  0.2211  1 Fe 2.41
Cl  0.6671  0.9563  0.7789  1 Fe 2.41
Cl  0.8882  0.4563  0.2211  1 Fe 2.41
Cl  0.6671  0.5437  0.7789  1 Fe 2.41
O  0.0021  0.7500  0.0042  2 H 0.98
O  0.9979  0.2500  0.9958  2 H 0.98

Record 4
# CsK2Fe3P4ClO14

CsK2Fe3P4ClO14 after structural relaxation (GGA+U, the Materials Project database).

Computed properties:
The value obtained for the calculated volume is 393.2 Å³/f.u. The formation energy from the elements is -61.028 eV per formula unit. The total magnetization is 0.00 μB/cell.

Cell lengths 9.4289, 9.8360, 9.4531 Å; angles 74.00, 69.68, 89.63 degrees
With the nearest neighbours (Å) after each atom.
Fractional coordinates of all 50 atoms:
Cs  0.2500  0.0000  0.2500  8 O 3.21-3.49
Cs  0.7500  0.0000  0.7500  8 O 3.22-3.49
K  0.9716  0.6710  0.1168  5 O 2.74-3.07
K  0.4716  0.6710  0.6168  5 O 2.74-3.07
K  0.0284  0.3290  0.8831  5 O 2.74-3.07
K  0.5284  0.3290  0.3832  5 O 2.74-3.07
Fe  0.7500  0.0000  0.2500  4 O 2.07-2.19
Fe  0.2804  0.4115  0.1103  4 O 2.03-2.11
Fe  0.2196  0.5885  0.3897  4 O 2.03-2.11
Fe  0.2500  0.0000  0.7500  4 O 2.07-2.19
Fe  0.7804  0.4115  0.6102  4 O 2.03-2.11
Fe  0.7196  0.5885  0.8898  4 O 2.03-2.11
P  0.0759  0.7055  0.7071  4 O 1.51-1.65
P  0.5758  0.7055  0.2071  4 O 1.52-1.65
P  0.9241  0.2944  0.2930  4 O 1.51-1.65
P  0.4241  0.2945  0.7929  4 O 1.51-1.65
P  0.9097  0.7458  0.4933  4 O 1.50-1.65
P  0.4098  0.7457  0.9933  4 O 1.50-1.65
P  0.0902  0.2543  0.5067  4 O 1.50-1.65
P  0.5903  0.2543  0.0067  4 O 1.50-1.65
Cl  0.0000  0.0000  0.0000  2 Fe 2.70
Cl  0.5000  0.0000  0.5000  2 Fe 2.70
O  0.9959  0.8066  0.5915  2 P 1.65
O  0.4958  0.8067  0.0914  2 P 1.65
O  0.0042  0.1933  0.4086  2 P 1.65
O  0.5041  0.1934  0.9085  2 P 1.65
O  0.9434  0.6196  0.8549  1 P 1.54
O  0.4434  0.6198  0.3549  1 P 1.54
O  0.0567  0.3801  0.1451  1 P 1.54
O  0.5566  0.3804  0.6451  1 P 1.54
O  0.1682  0.8073  0.7438  1 P 1.51
O  0.6683  0.8074  0.2437  1 P 1.52
O  0.8317  0.1926  0.2563  1 P 1.51
O  0.3318  0.1927  0.7562  1 P 1.51
O  0.1713  0.6085  0.6176  1 P 1.53
O  0.6712  0.6085  0.1176  1 P 1.53
O  0.8288  0.3915  0.3824  1 P 1.53
O  0.3286  0.3915  0.8824  1 P 1.53
O  0.7928  0.6219  0.6187  1 P 1.56
O  0.2930  0.6218  0.1187  1 P 1.56
O  0.2070  0.3782  0.3813  1 P 1.56
O  0.7072  0.3782  0.8812  1 P 1.56
O  0.0349  0.6907  0.3730  1 P 1.54
O  0.5350  0.6908  0.8730  1 P 1.54
O  0.9650  0.3092  0.6270  1 P 1.54
O  0.4652  0.3093  0.1270  1 P 1.54
O  0.8415  0.8730  0.4219  1 P 1.50
O  0.3414  0.8729  0.9219  1 P 1.50
O  0.1585  0.1271  0.5782  1 P 1.50
O  0.6585  0.1270  0.0781  1 P 1.50

Record 5
# CsNa2Fe3P4ClO14

CsNa2Fe3P4ClO14 after structural relaxation (GGA+U, the Materials Project database).

Computed properties:
The value obtained for the calculated volume is 344.0 Å³/f.u. The formation energy from the elements is -60.370 eV per formula unit. The total magnetization is 24.00 μB/cell. The space-group type is C2/c, No. 15.

Cell lengths 10.9143, 10.9143, 13.9529 Å; angles 62.47, 62.47, 28.09 degrees
With the nearest neighbours (Å) after each atom.
Fractional coordinates of all 50 atoms:
Cs  0.5000  0.5000  0.0000  10 O 3.21-3.48, 2 Cl 3.49
Cs  0.5000  0.5000  0.5000  10 O 3.21-3.48, 2 Cl 3.49
Na  0.2488  0.3090  0.1508  6 O 2.40-2.68
Na  0.6910  0.7512  0.3492  6 O 2.40-2.68
Na  0.7512  0.6910  0.8492  6 O 2.40-2.68
Na  0.3090  0.2488  0.6508  6 O 2.40-2.68
Fe  0.6667  0.6430  0.1563  5 O 2.09-2.21
Fe  0.3570  0.3333  0.3437  5 O 2.09-2.21
Fe  0.3333  0.3570  0.8437  5 O 2.09-2.21
Fe  0.6430  0.6667  0.6563  5 O 2.09-2.21
Fe  0.9374  0.0626  0.2500  2 O 1.97
Fe  0.0626  0.9374  0.7500  2 O 1.97
P  0.1798  0.1370  0.0068  4 O 1.52-1.64
P  0.8630  0.8202  0.4932  4 O 1.52-1.64
P  0.8202  0.8630  0.9932  4 O 1.52-1.64
P  0.1370  0.1798  0.5068  4 O 1.52-1.64
P  0.8697  0.8907  0.1751  4 O 1.53-1.63
P  0.1093  0.1303  0.3249  4 O 1.53-1.63
P  0.1303  0.1093  0.8249  4 O 1.53-1.63
P  0.8907  0.8697  0.6751  4 O 1.53-1.63
Cl  0.4619  0.5381  0.2500  2 Fe 2.52-2.78
Cl  0.5381  0.4619  0.7500  2 Fe 2.52-2.78
O  0.9517  0.9647  0.1522  1 P 1.53
O  0.0353  0.0483  0.3478  1 P 1.53
O  0.0483  0.0353  0.8478  1 P 1.53
O  0.9647  0.9517  0.6522  1 P 1.53
O  0.0783  0.1383  0.9481  2 P 1.63-1.64
O  0.8617  0.9217  0.5519  2 P 1.63-1.64
O  0.9217  0.8617  0.0519  2 P 1.63-1.64
O  0.1383  0.0783  0.4481  2 P 1.63-1.64
O  0.8891  0.4244  0.2850  1 P 1.54
O  0.5756  0.1109  0.2150  1 P 1.54
O  0.1109  0.5756  0.7150  1 P 1.54
O  0.4244  0.8891  0.7850  1 P 1.54
O  0.9860  0.2528  0.1125  1 P 1.54
O  0.7472  0.0140  0.3875  1 P 1.54
O  0.0140  0.7472  0.8875  1 P 1.54
O  0.2528  0.9860  0.6125  1 P 1.54
O  0.4642  0.8488  0.0266  1 P 1.54
O  0.1512  0.5359  0.4734  1 P 1.54
O  0.5359  0.1512  0.9734  1 P 1.54
O  0.8488  0.4642  0.5266  1 P 1.54
O  0.0424  0.6250  0.2453  1 P 1.54
O  0.3750  0.9576  0.2547  1 P 1.54
O  0.9576  0.3750  0.7547  1 P 1.54
O  0.6250  0.0424  0.7453  1 P 1.54
O  0.8473  0.6881  0.0731  1 P 1.52
O  0.3119  0.1527  0.4269  1 P 1.52
O  0.1527  0.3119  0.9269  1 P 1.52
O  0.6881  0.8473  0.5731  1 P 1.52